1.
{"formula": "HgBrO3", "functional": "r²SCAN", "state": "optimized geometry", "cell": [[9.501, -2.248, 0.000], [9.501, 2.248, 0.000], [-2.584, 0.000, 8.202]], "species": ["Hg", "Hg", "Hg", "Hg", "Br", "Br", "Br", "Br", "O", "O", "O", "O", "O", "O", "O", "O", "O", "O", "O", "O"], "frac_coords": [[0.045, 0.086, 0.490], [0.086, 0.045, 0.990], [0.914, 0.955, 0.010], [0.955, 0.914, 0.510], [0.275, 0.375, 0.658], [0.375, 0.275, 0.158], [0.625, 0.725, 0.842], [0.725, 0.625, 0.342], [0.025, 0.323, 0.464], [0.111, 0.529, 0.828], [0.323, 0.025, 0.964], [0.335, 0.487, 0.202], [0.471, 0.889, 0.672], [0.487, 0.335, 0.702], [0.513, 0.665, 0.298], [0.529, 0.111, 0.328], [0.665, 0.513, 0.798], [0.677, 0.975, 0.036], [0.889, 0.471, 0.172], [0.975, 0.677, 0.536]]}

2.
{"formula": "Hg8Br3O4", "functional": "r²SCAN", "state": "optimized geometry", "cell": [[6.949, 0.000, 0.000], [0.000, 6.372, 0.000], [-3.482, 0.000, 31.488]], "species": ["Hg", "Hg", "Hg", "Hg", "Hg", "Hg", "Hg", "Hg", "Hg", "Hg", "Hg", "Hg", "Hg", "Hg", "Hg", "Hg", "Hg", "Hg", "Hg", "Hg", "Hg", "Hg", "Hg", "Hg", "Hg", "Hg", "Hg", "Hg", "Hg", "Hg", "Hg", "Hg", "Br", "Br", "Br", "Br", "Br", "Br", "Br", "Br", "Br", "Br", "Br", "Br", "O", "O", "O", "O", "O", "O", "O", "O", "O", "O", "O", "O", "O", "O", "O", "O"], "frac_coords": [[0.004, 0.089, 0.212], [0.004, 0.411, 0.712], [0.138, 0.128, 0.993], [0.138, 0.372, 0.493], [0.176, 0.676, 0.892], [0.176, 0.824, 0.392], [0.190, 0.570, 0.178], [0.190, 0.930, 0.678], [0.273, 0.074, 0.124], [0.273, 0.426, 0.624], [0.408, 0.672, 0.961], [0.408, 0.828, 0.461], [0.428, 0.131, 0.780], [0.428, 0.369, 0.280], [0.454, 0.630, 0.570], [0.454, 0.870, 0.070], [0.546, 0.130, 0.930], [0.546, 0.370, 0.430], [0.572, 0.631, 0.720], [0.572, 0.869, 0.220], [0.592, 0.172, 0.539], [0.592, 0.328, 0.039], [0.727, 0.574, 0.376], [0.727, 0.926, 0.876], [0.810, 0.070, 0.322], [0.810, 0.430, 0.822], [0.824, 0.176, 0.608], [0.824, 0.324, 0.108], [0.862, 0.628, 0.507], [0.862, 0.872, 0.007], [0.996, 0.589, 0.288], [0.996, 0.911, 0.788], [0.158, 0.184, 0.872], [0.158, 0.316, 0.372], [0.173, 0.001, 0.557], [0.173, 0.499, 0.057], [0.402, 0.648, 0.812], [0.402, 0.852, 0.312], [0.598, 0.148, 0.688], [0.598, 0.352, 0.188], [0.827, 0.501, 0.943], [0.827, 0.999, 0.443], [0.842, 0.684, 0.628], [0.842, 0.816, 0.128], [0.077, 0.224, 0.658], [0.077, 0.276, 0.158], [0.151, 0.109, 0.750], [0.151, 0.391, 0.250], [0.291, 0.632, 0.693], [0.291, 0.868, 0.193], [0.407, 0.225, 0.480], [0.407, 0.275, 0.980], [0.593, 0.725, 0.020], [0.593, 0.775, 0.520], [0.709, 0.132, 0.807], [0.709, 0.368, 0.307], [0.849, 0.609, 0.750], [0.849, 0.891, 0.250], [0.923, 0.724, 0.842], [0.923, 0.776, 0.342]]}

3.
{"formula": "Hg6Sb5Br7", "functional": "r²SCAN", "state": "optimized geometry", "cell": [[13.179, 0.000, 0.000], [0.000, 13.179, 0.000], [0.000, 0.000, 13.179]], "species": ["Hg", "Hg", "Hg", "Hg", "Hg", "Hg", "Hg", "Hg", "Hg", "Hg", "Hg", "Hg", "Hg", "Hg", "Hg", "Hg", "Hg", "Hg", "Hg", "Hg", "Hg", "Hg", "Hg", "Hg", "Sb", "Sb", "Sb", "Sb", "Sb", "Sb", "Sb", "Sb", "Sb", "Sb", "Sb", "Sb", "Sb", "Sb", "Sb", "Sb", "Sb", "Sb", "Sb", "Sb", "Br", "Br", "Br", "Br", "Br", "Br", "Br", "Br", "Br", "Br", "Br", "Br", "Br", "Br", "Br", "Br", "Br", "Br", "Br", "Br", "Br", "Br", "Br", "Br", "Br", "Br", "Br", "Br"], "frac_coords": [[0.051, 0.185, 0.699], [0.051, 0.315, 0.199], [0.185, 0.699, 0.051], [0.185, 0.801, 0.551], [0.199, 0.051, 0.315], [0.199, 0.449, 0.815], [0.301, 0.551, 0.315], [0.301, 0.949, 0.815], [0.315, 0.199, 0.051], [0.315, 0.301, 0.551], [0.449, 0.685, 0.699], [0.449, 0.815, 0.199], [0.551, 0.185, 0.801], [0.551, 0.315, 0.301], [0.685, 0.699, 0.449], [0.685, 0.801, 0.949], [0.699, 0.051, 0.185], [0.699, 0.449, 0.685], [0.801, 0.551, 0.185], [0.801, 0.949, 0.685], [0.815, 0.199, 0.449], [0.815, 0.301, 0.949], [0.949, 0.685, 0.801], [0.949, 0.815, 0.301], [0.000, 0.000, 0.000], [0.000, 0.500, 0.500], [0.139, 0.639, 0.861], [0.139, 0.861, 0.361], [0.236, 0.236, 0.236], [0.236, 0.264, 0.736], [0.264, 0.736, 0.236], [0.264, 0.764, 0.736], [0.361, 0.139, 0.861], [0.361, 0.361, 0.361], [0.500, 0.000, 0.500], [0.500, 0.500, 0.000], [0.639, 0.639, 0.639], [0.639, 0.861, 0.139], [0.736, 0.236, 0.264], [0.736, 0.264, 0.764], [0.764, 0.736, 0.264], [0.764, 0.764, 0.764], [0.861, 0.139, 0.639], [0.861, 0.361, 0.139], [0.000, 0.000, 0.500], [0.000, 0.500, 0.000], [0.044, 0.552, 0.296], [0.044, 0.948, 0.796], [0.052, 0.204, 0.956], [0.052, 0.296, 0.456], [0.204, 0.544, 0.552], [0.204, 0.956, 0.052], [0.296, 0.044, 0.552], [0.296, 0.456, 0.052], [0.448, 0.704, 0.956], [0.448, 0.796, 0.456], [0.456, 0.052, 0.296], [0.456, 0.448, 0.796], [0.500, 0.000, 0.000], [0.500, 0.500, 0.500], [0.544, 0.552, 0.204], [0.544, 0.948, 0.704], [0.552, 0.204, 0.544], [0.552, 0.296, 0.044], [0.704, 0.544, 0.948], [0.704, 0.956, 0.448], [0.796, 0.044, 0.948], [0.796, 0.456, 0.448], [0.948, 0.704, 0.544], [0.948, 0.796, 0.044], [0.956, 0.052, 0.204], [0.956, 0.448, 0.704]]}

4.
{"formula": "Hg3Te2Br2", "functional": "r²SCAN", "state": "optimized geometry", "cell": [[-4.877, 4.877, 4.877], [4.877, -4.877, 4.877], [4.877, 4.877, -4.877]], "species": ["Hg", "Hg", "Hg", "Hg", "Hg", "Hg", "Te", "Te", "Te", "Te", "Br", "Br", "Br", "Br"], "frac_coords": [[0.193, 0.750, 0.943], [0.250, 0.557, 0.307], [0.307, 0.250, 0.557], [0.557, 0.307, 0.250], [0.750, 0.943, 0.193], [0.943, 0.193, 0.750], [0.000, 0.951, 0.500], [0.500, 0.000, 0.951], [0.549, 0.549, 0.549], [0.951, 0.500, 0.000], [0.000, 0.476, 0.500], [0.024, 0.024, 0.024], [0.476, 0.500, 0.000], [0.500, 0.000, 0.476]]}

5.
{"formula": "HoBr3", "functional": "r²SCAN", "state": "optimized geometry", "cell": [[9.991, 0.000, 0.000], [-4.995, 8.652, 0.000], [0.000, 0.000, 3.717]], "species": ["Ho", "Ho", "Br", "Br", "Br", "Br", "Br", "Br"], "frac_coords": [[0.333, 0.667, 0.250], [0.667, 0.333, 0.750], [0.212, 0.425, 0.750], [0.212, 0.788, 0.750], [0.425, 0.212, 0.250], [0.575, 0.788, 0.750], [0.788, 0.212, 0.250], [0.788, 0.575, 0.250]]}

6.
{"formula": "IBr", "functional": "r²SCAN", "state": "optimized geometry", "cell": [[7.285, 0.000, 0.000], [0.000, 5.126, 0.000], [0.000, 0.000, 8.647]], "species": ["I", "I", "I", "I", "Br", "Br", "Br", "Br"], "frac_coords": [[0.000, 0.000, 0.000], [0.000, 0.000, 0.500], [0.500, 0.500, 0.000], [0.500, 0.500, 0.500], [0.000, 0.323, 0.250], [0.000, 0.677, 0.750], [0.500, 0.177, 0.750], [0.500, 0.823, 0.250]]}

7.
{"formula": "K3I2Br", "functional": "r²SCAN", "state": "optimized geometry", "cell": [[4.899, 0.000, 0.000], [-2.449, 4.243, 0.000], [0.000, 0.000, 12.043]], "species": ["K", "K", "K", "I", "I", "Br"], "frac_coords": [[0.000, 0.000, 0.000], [0.333, 0.667, 0.651], [0.667, 0.333, 0.349], [0.333, 0.667, 0.174], [0.667, 0.333, 0.826], [0.000, 0.000, 0.500]]}

8.
{"formula": "Li2IBr", "functional": "r²SCAN", "state": "optimized geometry", "cell": [[4.340, 0.000, 0.000], [-2.170, 3.758, 0.000], [0.000, 0.000, 7.008]], "species": ["Li", "Li", "I", "Br"], "frac_coords": [[0.000, 0.000, 0.000], [0.333, 0.667, 0.546], [0.333, 0.667, 0.147], [0.000, 0.000, 0.642]]}

| no. | energy (Ry/atom) | calculated formation energy (eV/atom) |
| --- | --- | --- |
| 1 | -1.181 | 0.038 |
| 2 | -2.277 | -0.405 |
| 3 | -2.144 | -0.417 |
| 4 | -2.398 | -0.418 |
| 5 | -1.487 | -2.065 |
| 6 | -1.396 | -0.082 |
| 7 | -1.117 | -1.793 |
| 8 | -0.898 | -1.571 |